Computed, not measured: crystalline P3H18RuC6S6O6 at its relaxed geometry at the PBE level of DFT.

Lattice parameters (Å, degrees): 14.358 11.358 13.194 90.00 97.33 90.00
Space group C2/c (No. 15)
One atom of each set of equivalent atoms:
P: 0.000 0.066 0.250 (multiplicity 4)
P: 0.178 0.469 0.350 (multiplicity 8)
H: 0.073 0.383 0.974 (multiplicity 8)
H: 0.077 0.071 0.463 (multiplicity 8)
H: 0.079 0.309 0.854 (multiplicity 8)
H: 0.112 0.195 0.657 (multiplicity 8)
H: 0.140 0.065 0.960 (multiplicity 8)
H: 0.148 0.258 0.970 (multiplicity 8)
H: 0.174 0.059 0.389 (multiplicity 8)
H: 0.211 0.195 0.755 (multiplicity 8)
H: 0.222 0.256 0.631 (multiplicity 8)
Ru: 0.000 0.336 0.250 (multiplicity 4)
C: 0.115 0.013 0.416 (multiplicity 8)
C: 0.119 0.335 0.928 (multiplicity 8)
C: 0.189 0.188 0.673 (multiplicity 8)
S: 0.087 0.178 0.188 (multiplicity 8)
S: 0.092 0.361 0.416 (multiplicity 8)
S: 0.117 0.484 0.206 (multiplicity 8)
O: 0.051 0.029 0.828 (multiplicity 8)
O: 0.198 0.409 0.910 (multiplicity 8)
O: 0.214 0.072 0.636 (multiplicity 8)

Values from the calculation:
Mass density, g/cm3: 1.78
Total DFT energy (no corrections), eV/atom: -5.389
V, Å³ per atom: 13.3
Formation energy from the elements, kJ/mol of atoms: -63